VASP calculation (GGA-PBE) on crystalline NpInRh2 at its relaxed geometry.

The formation energy comes out at -0.182 eV per atom.

The space group is Fm-3m (No. 225) and the conventional cell measures 6.649, 6.649 and 6.649 Å, with angles of 90.00, 90.00 and 90.00 degrees. The distinct sites, in fractional coordinates, are Np at (0.000, 0.000, 0.000), In at (0.000, 0.000, 0.500) and Rh at (0.250, 0.250, 0.250).